No. 1
VASP calculation (PBE-GGA) on a geometry-optimized Ba2Tl7Au structure.

```
Ba2Tl7Au
1.0
5.320 0.000 0.000
0.000 10.776 0.000
0.000 0.000 22.488
Ba Tl Au
8 28 4
direct
0.250 0.751 0.459
0.750 0.249 0.541
0.750 0.251 0.041
0.250 0.749 0.959
0.250 0.996 0.789
0.750 0.004 0.211
0.750 0.496 0.711
0.250 0.504 0.289
0.250 0.475 0.103
0.750 0.525 0.897
0.750 0.975 0.397
0.250 0.025 0.603
0.750 0.647 0.201
0.250 0.353 0.799
0.250 0.147 0.299
0.750 0.853 0.701
0.750 0.601 0.052
0.250 0.399 0.948
0.250 0.101 0.448
0.750 0.899 0.552
0.250 0.850 0.298
0.750 0.150 0.702
0.750 0.350 0.202
0.250 0.650 0.798
0.250 0.461 0.590
0.750 0.539 0.410
0.750 0.961 0.910
0.250 0.039 0.090
0.750 0.602 0.553
0.250 0.398 0.447
0.250 0.102 0.947
0.750 0.898 0.053
0.250 0.734 0.649
0.750 0.266 0.351
0.750 0.234 0.851
0.250 0.766 0.149
0.250 0.258 0.673
0.750 0.742 0.327
0.750 0.758 0.827
0.250 0.242 0.173
```

## Properties
- Formation enthalpy at 0 K: -0.29 eV/atom

No. 2
VASP calculation (PBE-GGA) on a geometry-optimized Li9Nb14S28 structure.

```
Li9Nb14S28
1.0
5.850 0.000 0.000
-2.918 11.835 0.000
-0.006 -3.380 12.948
Li Nb S
9 14 28
direct
0.571 0.643 0.000
0.073 0.645 0.500
0.429 0.357 0.000
0.500 0.500 0.500
0.927 0.355 0.500
0.286 0.072 0.000
0.714 0.928 0.000
0.786 0.071 0.500
0.214 0.929 0.500
0.035 0.572 0.249
0.536 0.572 0.750
0.464 0.428 0.250
0.892 0.286 0.249
0.965 0.428 0.751
0.391 0.286 0.749
0.321 0.143 0.251
0.750 0.000 0.250
0.823 0.144 0.751
0.250 0.000 0.750
0.177 0.856 0.249
0.609 0.714 0.251
0.679 0.857 0.749
0.108 0.714 0.751
0.351 0.537 0.129
0.387 0.606 0.371
0.781 0.394 0.129
0.815 0.463 0.372
0.185 0.537 0.628
0.219 0.606 0.871
0.208 0.251 0.129
0.243 0.320 0.371
0.649 0.463 0.871
0.613 0.394 0.629
0.638 0.109 0.129
0.076 0.320 0.871
0.671 0.178 0.371
0.043 0.251 0.629
0.066 0.965 0.129
0.101 0.035 0.371
0.471 0.109 0.629
0.506 0.178 0.871
0.494 0.822 0.129
0.934 0.035 0.871
0.899 0.965 0.629
0.529 0.891 0.371
0.924 0.680 0.129
0.957 0.749 0.371
0.329 0.822 0.629
0.362 0.891 0.871
0.757 0.680 0.629
0.792 0.749 0.871
```

## Properties
- Formation enthalpy at 0 K: -1.53 eV/atom

No. 3
VASP calculation (PBE-GGA) on a geometry-optimized Pr2Al structure.

```
Pr2Al
1.0
-2.132 4.857 -0.251
-2.681 -1.492 -6.091
-8.210 -3.375 4.440
Pr Al
8 4
direct
0.250 0.806 0.923
0.250 0.306 0.577
0.750 0.194 0.077
0.750 0.694 0.423
0.250 0.977 0.298
0.250 0.477 0.202
0.750 0.023 0.702
0.750 0.523 0.798
0.250 0.289 0.898
0.250 0.789 0.602
0.750 0.711 0.102
0.750 0.211 0.398
```

## Properties
- Formation enthalpy at 0 K: -0.23 eV/atom

No. 4
VASP calculation (PBE-GGA) on a geometry-optimized VZn3 structure.

```
VZn3
1.0
3.832 0.000 0.000
0.000 3.832 0.000
0.000 0.000 3.832
V Zn
1 3
direct
0.000 0.000 0.000
0.000 0.500 0.500
0.500 0.500 0.000
0.500 0.000 0.500
```

## Properties
- Formation enthalpy at 0 K: -0.05 eV/atom

No. 5
VASP calculation (PBE-GGA) on a geometry-optimized GeO2 structure.

```
GeO2
1.0
-2.408 -2.059 -3.017
-1.311 -3.294 3.294
-4.272 3.037 1.337
Ge O
4 8
direct
0.500 0.750 0.658
0.000 0.250 0.842
0.500 0.250 0.342
0.000 0.750 0.158
0.768 0.079 0.113
0.268 0.921 0.387
0.732 0.579 0.387
0.232 0.421 0.113
0.768 0.579 0.887
0.268 0.421 0.613
0.732 0.079 0.613
0.232 0.921 0.887
```

## Properties
- Formation enthalpy at 0 K: -2.04 eV/atom

No. 6
VASP calculation (PBE-GGA) on a geometry-optimized Ag6P6O19 structure.

```
Ag6P6O19
1.0
4.873 -7.515 0.000
4.873 7.515 0.000
-6.714 0.000 5.928
Ag P O
6 6 19
direct
0.842 0.379 0.519
0.379 0.519 0.842
0.519 0.842 0.379
0.158 0.621 0.481
0.621 0.481 0.158
0.481 0.158 0.621
0.024 0.268 0.898
0.268 0.898 0.024
0.898 0.024 0.268
0.976 0.732 0.102
0.732 0.102 0.976
0.102 0.976 0.732
0.460 0.059 0.275
0.059 0.275 0.460
0.275 0.460 0.059
0.540 0.941 0.725
0.941 0.725 0.540
0.725 0.540 0.941
0.972 0.254 0.047
0.254 0.047 0.972
0.047 0.972 0.254
0.028 0.746 0.953
0.746 0.953 0.028
0.953 0.028 0.746
0.863 0.259 0.737
0.259 0.737 0.863
0.737 0.863 0.259
0.137 0.741 0.263
0.741 0.263 0.137
0.263 0.137 0.741
0.479 0.479 0.479
```

## Properties
- Formation enthalpy at 0 K: -1.82 eV/atom